No. 1
A plane-wave DFT calculation with PBE was carried out for an optimized crystal structure of SrSO4.

Properties
Energy of formation from the pure elements   -1553 kJ/mol of formula units

a b c (Å): 8.4533 5.4562 6.9668
angles (deg): 90.00 90.00 90.00
Space group Pnma (No. 62)
One atom of each set of equivalent atoms:
Sr1 0.1847 0.2500 0.1571 [4 per cell]
S1 0.0610 0.2500 0.6830 [4 per cell]
O1 0.0769 0.0272 0.8088 [8 per cell]
O2 0.0960 0.7500 0.4084 [4 per cell]
O3 0.1919 0.2500 0.5404 [4 per cell]



No. 2
A plane-wave DFT calculation with PBE was carried out for an optimized crystal structure of Mn4SnN4.

Properties
Energy of formation from the pure elements   -139 kJ/mol of formula units

a b c (Å): 5.3282 5.6150 7.3429
angles (deg): 88.85 76.89 64.74
Space group P-1 (No. 2)
One atom of each set of equivalent atoms:
Mn1 0.1370 0.0858 0.3508 [2 per cell]
Mn2 0.2815 0.9588 0.0065 [2 per cell]
Mn3 0.2934 0.4735 0.6795 [2 per cell]
Mn4 0.3560 0.9272 0.6556 [2 per cell]
Sn1 0.2342 0.5273 0.1896 [2 per cell]
N1 0.1021 0.8225 0.8404 [2 per cell]
N2 0.2482 0.7380 0.4809 [2 per cell]
N3 0.2741 0.2270 0.5099 [2 per cell]
N4 0.4513 0.1469 0.8399 [2 per cell]



No. 3
A plane-wave DFT calculation with PBE was carried out for an optimized crystal structure of Y2ReB6.

Properties
Energy of formation from the pure elements   -535 kJ/mol of formula units

a b c (Å): 9.1934 11.5818 3.6866
angles (deg): 90.00 90.00 90.00
Space group Pbam (No. 55)
One atom of each set of equivalent atoms:
Y1 0.0570 0.1297 0.0000 [4 per cell]
Y2 0.1765 0.4140 0.0000 [4 per cell]
Re1 0.1384 0.6792 0.0000 [4 per cell]
B1 0.0177 0.2881 0.5000 [4 per cell]
B2 0.0532 0.5673 0.5000 [4 per cell]
B3 0.1005 0.9718 0.5000 [4 per cell]
B4 0.1307 0.8141 0.5000 [4 per cell]
B5 0.2084 0.2344 0.5000 [4 per cell]
B6 0.2484 0.5817 0.5000 [4 per cell]



No. 4
A plane-wave DFT calculation with PBE was carried out for an optimized crystal structure of Li3Sm2B3O9.

Properties
Energy of formation from the pure elements   -5079 kJ/mol of formula units

a b c (Å): 5.7738 14.1694 9.3280
angles (deg): 90.00 113.07 90.00
Space group P2_1/c (No. 14)
One atom of each set of equivalent atoms:
Li1 0.0630 0.1039 0.2085 [4 per cell]
Li2 0.4067 0.2173 0.2067 [4 per cell]
Li3 0.4095 0.6651 0.4823 [4 per cell]
Sm1 0.0570 0.6650 0.6928 [4 per cell]
Sm2 0.3482 0.0044 0.6593 [4 per cell]
B1 0.1105 0.6753 0.0210 [4 per cell]
B2 0.2637 0.0158 0.0142 [4 per cell]
B3 0.3888 0.1634 0.4732 [4 per cell]
O1 0.0429 0.5930 0.9323 [4 per cell]
O2 0.0833 0.7386 0.4466 [4 per cell]
O3 0.1607 0.0109 0.8527 [4 per cell]
O4 0.2117 0.6678 0.1822 [4 per cell]
O5 0.3123 0.1027 0.0863 [4 per cell]
O6 0.3157 0.5655 0.6044 [4 per cell]
O7 0.3188 0.2439 0.3831 [4 per cell]
O8 0.3421 0.0740 0.4072 [4 per cell]
O9 0.4974 0.6667 0.8653 [4 per cell]



No. 5
A plane-wave DFT calculation with PBE was carried out for an optimized crystal structure of TiS2.

Properties
Energy of formation from the pure elements   -373 kJ/mol of formula units

a b c (Å): 6.0066 6.0066 6.0066
angles (deg): 90.00 90.00 90.00
Space group Pa-3 (No. 205)
One atom of each set of equivalent atoms:
Ti1 0.0000 0.0000 0.0000 [4 per cell]
S1 0.1420 0.6420 0.8580 [8 per cell]



No. 6
A plane-wave DFT calculation with PBE was carried out for an optimized crystal structure of CsTaPS6.

Properties
Energy of formation from the pure elements   -958 kJ/mol of formula units

a b c (Å): 14.9891 18.0423 18.8986
angles (deg): 90.00 123.95 90.00
Space group P2_1/c (No. 14)
One atom of each set of equivalent atoms:
Cs1 0.0536 0.1271 0.4982 [4 per cell]
Cs2 0.1893 0.0658 0.0480 [4 per cell]
Cs3 0.3361 0.6685 0.4707 [4 per cell]
Cs4 0.3655 0.0175 0.3731 [4 per cell]
Ta1 0.0076 0.1087 0.7554 [4 per cell]
Ta2 0.1731 0.2286 0.3107 [4 per cell]
Ta3 0.3322 0.6251 0.1575 [4 per cell]
Ta4 0.4793 0.7127 0.7669 [4 per cell]
P1 0.0195 0.5632 0.3286 [4 per cell]
P2 0.1985 0.6117 0.9479 [4 per cell]
P3 0.3582 0.2166 0.5192 [4 per cell]
P4 0.4972 0.5436 0.7046 [4 per cell]
S1 0.0158 0.1388 0.2672 [4 per cell]
S2 0.0349 0.2093 0.6729 [4 per cell]
S3 0.0520 0.1960 0.8576 [4 per cell]
S4 0.0657 0.6077 0.4398 [4 per cell]
S5 0.0682 0.5419 0.8922 [4 per cell]
S6 0.0957 0.5208 0.7126 [4 per cell]
S7 0.1345 0.0035 0.8287 [4 per cell]
S8 0.1670 0.1434 0.7476 [4 per cell]
S9 0.1918 0.6549 0.8443 [4 per cell]
S10 0.1948 0.6942 0.0229 [4 per cell]
S11 0.2243 0.5467 0.1642 [4 per cell]
S12 0.2354 0.1447 0.4374 [4 per cell]
S13 0.2363 0.1699 0.2452 [4 per cell]
S14 0.2910 0.7399 0.2171 [4 per cell]
S15 0.3363 0.2388 0.1087 [4 per cell]
S16 0.3392 0.2062 0.9318 [4 per cell]
S17 0.3392 0.5610 0.0393 [4 per cell]
S18 0.3638 0.6053 0.6826 [4 per cell]
S19 0.3867 0.1187 0.7093 [4 per cell]
S20 0.4125 0.6724 0.3061 [4 per cell]
S21 0.4835 0.7170 0.1694 [4 per cell]
S22 0.4918 0.0501 0.2670 [4 per cell]
S23 0.4929 0.6692 0.9098 [4 per cell]
S24 0.4941 0.5190 0.6018 [4 per cell]



No. 7
A plane-wave DFT calculation with PBE was carried out for an optimized crystal structure of Ni3S4.

Properties
Energy of formation from the pure elements   -445 kJ/mol of formula units

a b c (Å): 9.4156 9.4156 9.4156
angles (deg): 90.00 90.00 90.00
Space group Fd-3m (No. 227, origin choice 2)
One atom of each set of equivalent atoms:
Ni1 0.0000 0.0000 0.0000 [16 per cell]
Ni2 0.1250 0.1250 0.6250 [8 per cell]
S1 0.0083 0.0083 0.2417 [32 per cell]



No. 8
A plane-wave DFT calculation with PBE was carried out for an optimized crystal structure of ZrV2.

Properties
Energy of formation from the pure elements   14 kJ/mol of formula units

a b c (Å): 7.3603 7.3603 7.3603
angles (deg): 90.00 90.00 90.00
Space group Fd-3m (No. 227, origin choice 2)
One atom of each set of equivalent atoms:
Zr1 0.1250 0.1250 0.1250 [8 per cell]
V1 0.0000 0.0000 0.5000 [16 per cell]



> What is the energy of formation from the pure elements in the fifth record?

-373 kJ/mol of formula units